1.
{"formula": "Dy3Ga5", "functional": "PBE", "state": "optimized geometry", "ef_ev_per_atom": -0.655, "lattice_angstrom": [[6.111, 0.000, 0.000], [0.000, 9.702, 0.000], [0.000, 0.000, 11.455]], "species": ["Ga", "Ga", "Ga", "Ga", "Ga", "Ga", "Ga", "Ga", "Ga", "Ga", "Ga", "Ga", "Ga", "Ga", "Ga", "Ga", "Ga", "Ga", "Ga", "Ga", "Dy", "Dy", "Dy", "Dy", "Dy", "Dy", "Dy", "Dy", "Dy", "Dy", "Dy", "Dy"], "fractional_positions": [[0.875, 0.447, 0.091], [0.824, 0.250, 0.748], [0.875, 0.053, 0.091], [0.897, 0.750, 0.799], [0.125, 0.553, 0.909], [0.129, 0.750, 0.506], [0.629, 0.250, 0.994], [0.375, 0.947, 0.409], [0.625, 0.053, 0.591], [0.371, 0.750, 0.006], [0.603, 0.750, 0.299], [0.676, 0.250, 0.248], [0.324, 0.750, 0.752], [0.375, 0.553, 0.409], [0.125, 0.947, 0.909], [0.397, 0.250, 0.701], [0.176, 0.750, 0.252], [0.625, 0.447, 0.591], [0.103, 0.250, 0.201], [0.871, 0.250, 0.494], [0.349, 0.250, 0.426], [0.651, 0.750, 0.574], [0.610, 0.509, 0.852], [0.610, 0.991, 0.852], [0.890, 0.991, 0.352], [0.110, 0.491, 0.648], [0.890, 0.509, 0.352], [0.110, 0.009, 0.648], [0.390, 0.009, 0.148], [0.151, 0.250, 0.926], [0.390, 0.491, 0.148], [0.849, 0.750, 0.074]]}

2.
{"formula": "CdHg4C6S6Br4N6", "functional": "PBE", "state": "optimized geometry", "ef_ev_per_atom": -0.109, "lattice_angstrom": [[0.000, 9.449, 11.957], [3.274, 0.000, 11.957], [3.274, 9.449, 0.000]], "species": ["S", "S", "S", "S", "S", "S", "N", "N", "N", "N", "N", "N", "C", "C", "C", "C", "C", "C", "Br", "Br", "Br", "Br", "Hg", "Hg", "Hg", "Hg", "Cd"], "fractional_positions": [[0.304, 0.351, 0.696], [0.834, 0.353, 0.538], [0.462, 0.725, 0.166], [0.275, 0.538, 0.353], [0.647, 0.166, 0.725], [0.649, 0.696, 0.351], [0.705, 0.177, 0.124], [0.198, 0.664, 0.802], [0.823, 0.295, 0.006], [0.336, 0.802, 0.664], [0.994, 0.124, 0.177], [0.876, 0.006, 0.295], [0.242, 0.534, 0.758], [0.928, 0.221, 0.325], [0.675, 0.474, 0.072], [0.779, 0.072, 0.474], [0.466, 0.758, 0.534], [0.526, 0.325, 0.221], [0.085, 0.320, 0.608], [0.680, 0.915, 0.013], [0.392, 0.013, 0.915], [0.987, 0.608, 0.320], [0.564, 0.818, 0.140], [0.860, 0.522, 0.436], [0.182, 0.436, 0.522], [0.478, 0.140, 0.818], [0.015, 0.985, 0.985]]}

3.
{"formula": "CuH6CN2O3", "functional": "PBE", "state": "optimized geometry", "ef_ev_per_atom": -0.825, "lattice_angstrom": [[-5.812, -7.120, 5.974], [-1.719, -2.693, -4.882], [5.868, -4.874, -0.100]], "species": ["O", "O", "O", "O", "O", "O", "O", "O", "O", "O", "O", "O", "H", "H", "H", "H", "H", "H", "H", "H", "H", "H", "H", "H", "H", "H", "H", "H", "H", "H", "H", "H", "H", "H", "H", "H", "Cu", "Cu", "Cu", "Cu", "N", "N", "N", "N", "N", "N", "N", "N", "C", "C", "C", "C"], "fractional_positions": [[0.746, 0.071, 0.383], [0.754, 0.071, 0.883], [0.246, 0.929, 0.117], [0.254, 0.929, 0.617], [0.855, 0.331, 0.525], [0.654, 0.383, 0.458], [0.154, 0.617, 0.042], [0.645, 0.331, 0.025], [0.145, 0.669, 0.475], [0.346, 0.617, 0.542], [0.846, 0.383, 0.958], [0.355, 0.669, 0.975], [0.992, 0.196, 0.371], [0.029, 0.749, 0.840], [0.845, 0.851, 0.255], [0.093, 0.391, 0.664], [0.875, 0.640, 0.124], [0.492, 0.804, 0.129], [0.508, 0.196, 0.871], [0.471, 0.749, 0.340], [0.125, 0.360, 0.876], [0.345, 0.149, 0.245], [0.155, 0.149, 0.745], [0.606, 0.708, 0.258], [0.593, 0.609, 0.836], [0.625, 0.640, 0.624], [0.907, 0.609, 0.336], [0.375, 0.360, 0.376], [0.655, 0.851, 0.755], [0.008, 0.804, 0.629], [0.894, 0.708, 0.758], [0.971, 0.251, 0.160], [0.394, 0.292, 0.742], [0.106, 0.292, 0.242], [0.407, 0.391, 0.164], [0.529, 0.251, 0.660], [0.926, 0.139, 0.810], [0.426, 0.861, 0.690], [0.574, 0.139, 0.310], [0.074, 0.861, 0.190], [0.407, 0.274, 0.272], [0.467, 0.183, 0.751], [0.533, 0.817, 0.249], [0.907, 0.726, 0.228], [0.093, 0.274, 0.772], [0.967, 0.817, 0.749], [0.593, 0.726, 0.728], [0.033, 0.183, 0.251], [0.757, 0.265, 0.459], [0.243, 0.735, 0.541], [0.257, 0.735, 0.041], [0.743, 0.265, 0.959]]}

4.
{"formula": "Ni6SnSb", "functional": "PBE", "state": "optimized geometry", "ef_ev_per_atom": -0.189, "lattice_angstrom": [[4.253, 0.000, 0.000], [0.000, 4.549, 0.000], [0.000, 0.000, 5.303]], "species": ["Ni", "Ni", "Ni", "Ni", "Ni", "Ni", "Sn", "Sb"], "fractional_positions": [[0.500, 0.167, 0.746], [0.000, 0.832, 0.749], [0.500, 0.690, 0.000], [0.000, 0.313, 0.500], [0.000, 0.832, 0.251], [0.500, 0.167, 0.254], [0.000, 0.328, 0.000], [0.500, 0.671, 0.500]]}

Asked for E across the records above, the calculation gives -4.275, -5.062, -5.682, -5.517 eV per atom in order.